Record 1
NdCdNi4 | GGA-PBE | optimized geometry

Structure (CIF):
```
data_NdCdNi4
_chemical_formula_sum 'Nd1 Cd1 Ni4'
_cell_length_a 5.0400
_cell_length_b 5.0400
_cell_length_c 5.0400
_cell_angle_alpha 60.00
_cell_angle_beta 60.00
_cell_angle_gamma 60.00
_space_group_name_H-M_alt 'P 1'
_space_group_IT_number 1
loop_
_space_group_symop_operation_xyz
'x,y,z'
loop_
_atom_site_label
_atom_site_type_symbol
_atom_site_fract_x
_atom_site_fract_y
_atom_site_fract_z
Nd1 Nd 0.0000 0.0000 0.0000
Cd1 Cd 0.7500 0.7500 0.7500
Ni1 Ni 0.3765 0.3765 0.3765
Ni2 Ni 0.3765 0.3765 0.8706
Ni3 Ni 0.3765 0.8706 0.3765
Ni4 Ni 0.8706 0.3765 0.3765
```

Summary:
Energy relative to the elements   -1.69 eV per formula unit
SG   F-43m

Record 2
Nd23Cd4Ni7 | GGA-PBE | optimized geometry

Structure (CIF):
```
data_Nd23Cd4Ni7
_chemical_formula_sum 'Nd46 Cd8 Ni14'
_cell_length_a 9.9434
_cell_length_b 9.9434
_cell_length_c 22.5278
_cell_angle_alpha 90.00
_cell_angle_beta 90.00
_cell_angle_gamma 120.00
_space_group_name_H-M_alt 'P 1'
_space_group_IT_number 1
loop_
_space_group_symop_operation_xyz
'x,y,z'
loop_
_atom_site_label
_atom_site_type_symbol
_atom_site_fract_x
_atom_site_fract_y
_atom_site_fract_z
Nd1 Nd 0.0000 0.0000 0.0522
Nd2 Nd 0.0000 0.0000 0.5522
Nd3 Nd 0.0792 0.5396 0.1384
Nd4 Nd 0.0850 0.5425 0.4087
Nd5 Nd 0.1272 0.2544 0.6866
Nd6 Nd 0.1272 0.8728 0.6866
Nd7 Nd 0.2035 0.4069 0.8351
Nd8 Nd 0.2035 0.7965 0.8351
Nd9 Nd 0.2067 0.4133 0.2724
Nd10 Nd 0.2071 0.4142 0.0000
Nd11 Nd 0.2071 0.7929 0.0000
Nd12 Nd 0.2067 0.7933 0.2724
Nd13 Nd 0.2108 0.4216 0.5432
Nd14 Nd 0.2108 0.7892 0.5432
Nd15 Nd 0.2544 0.1272 0.1866
Nd16 Nd 0.3333 0.6667 0.6982
Nd17 Nd 0.4069 0.2035 0.3351
Nd18 Nd 0.4133 0.2067 0.7724
Nd19 Nd 0.4142 0.2071 0.5000
Nd20 Nd 0.4216 0.2108 0.0432
Nd21 Nd 0.4575 0.5425 0.4087
Nd22 Nd 0.4575 0.9150 0.4087
Nd23 Nd 0.4604 0.5396 0.1384
Nd24 Nd 0.4604 0.9208 0.1384
Nd25 Nd 0.5396 0.0792 0.6384
Nd26 Nd 0.5396 0.4604 0.6384
Nd27 Nd 0.5425 0.0850 0.9087
Nd28 Nd 0.5425 0.4575 0.9087
Nd29 Nd 0.5784 0.7892 0.5432
Nd30 Nd 0.5858 0.7929 0.0000
Nd31 Nd 0.5867 0.7933 0.2724
Nd32 Nd 0.5931 0.7965 0.8351
Nd33 Nd 0.6667 0.3333 0.1982
Nd34 Nd 0.7456 0.8728 0.6866
Nd35 Nd 0.7892 0.2108 0.0432
Nd36 Nd 0.7892 0.5784 0.0432
Nd37 Nd 0.7929 0.2071 0.5000
Nd38 Nd 0.7933 0.2067 0.7724
Nd39 Nd 0.7929 0.5858 0.5000
Nd40 Nd 0.7933 0.5867 0.7724
Nd41 Nd 0.7965 0.2035 0.3351
Nd42 Nd 0.7965 0.5931 0.3351
Nd43 Nd 0.8728 0.1272 0.1866
Nd44 Nd 0.8728 0.7456 0.1866
Nd45 Nd 0.9150 0.4575 0.9087
Nd46 Nd 0.9208 0.4604 0.6384
Cd1 Cd 0.0000 0.0000 0.3019
Cd2 Cd 0.0000 0.0000 0.8019
Cd3 Cd 0.1067 0.2134 0.4159
Cd4 Cd 0.1067 0.8933 0.4159
Cd5 Cd 0.2134 0.1067 0.9159
Cd6 Cd 0.7866 0.8933 0.4159
Cd7 Cd 0.8933 0.1067 0.9159
Cd8 Cd 0.8933 0.7866 0.9159
Ni1 Ni 0.0426 0.5213 0.7632
Ni2 Ni 0.1428 0.2855 0.1172
Ni3 Ni 0.1428 0.8572 0.1172
Ni4 Ni 0.2855 0.1428 0.6172
Ni5 Ni 0.3333 0.6667 0.9160
Ni6 Ni 0.4787 0.5213 0.7632
Ni7 Ni 0.4787 0.9574 0.7632
Ni8 Ni 0.5213 0.0426 0.2632
Ni9 Ni 0.5213 0.4787 0.2632
Ni10 Ni 0.6667 0.3333 0.4160
Ni11 Ni 0.7145 0.8572 0.1172
Ni12 Ni 0.8572 0.1428 0.6172
Ni13 Ni 0.8572 0.7145 0.6172
Ni14 Ni 0.9574 0.4787 0.2632
```

Summary:
Energy relative to the elements   -7.90 eV per formula unit
SG   P6_3mc

Calculated values (g/cm3) of density for the records, taken in order: 9.014; 7.193.